# DyFe10Re2

A relaxed structure of DyFe10Re2 (PBE, the Materials Project).

Summary:
- Formation energy from the elements: -37 meV/atom
- Total energy: -8.82 eV/atom

Cell lengths 4.6980, 8.4854, 8.6382 Å; angles 90.00, 90.00, 90.00 degrees
Last column: nearest neighbours and their distance in Å.
Space group Immm (No. 71)
Symmetry-distinct sites (fractional):
Dy (0.0000, 0.0000, 0.0000)  18 Fe 3.01-3.25, 2 Re 3.09
Fe (0.0000, 0.2783, 0.5000)  8 Fe 2.47-2.72, 2 Re 2.66
Fe (0.0000, 0.3593, 0.0000)  9 Fe 2.39-2.64
Fe (0.0000, 0.5000, 0.2721)  8 Fe 2.43-2.72, 2 Re 2.60
Fe (0.2500, 0.2500, 0.2500)  8 Fe 2.35-2.63, 2 Re 2.60
Re (0.0000, 0.0000, 0.3578)  1 Re 2.46, 8 Fe 2.60-2.66